Entry 1:
Here is an optimized crystal structure of MnSb from the Materials Project. Energies are from PBE-GGA.

Geometry as POSCAR:
```
MnSb
1.0
-2.050 -3.551 0.000
-2.050 3.551 0.000
0.000 0.000 -5.612
Sb Mn
2 2
direct
0.667 0.333 0.250
0.333 0.667 0.750
0.000 0.000 0.000
0.000 0.000 0.500
```

Calculated values
Space group: No. 194
Formation energy, eV/atom: -0.13


Entry 2:
Here is an optimized crystal structure of Dy4Si3S12 from the Materials Project. Energies are from PBE-GGA.

Geometry as POSCAR:
```
Dy4Si3S12
1.0
11.110 0.000 0.000
0.000 9.937 0.000
0.000 6.020 16.091
Dy S Si
16 48 12
direct
0.763 0.971 0.709
0.872 0.392 0.635
0.372 0.608 0.865
0.481 0.483 0.626
0.237 0.029 0.291
0.519 0.517 0.374
0.351 0.814 0.059
0.263 0.029 0.791
0.981 0.517 0.874
0.851 0.186 0.441
0.128 0.608 0.365
0.628 0.392 0.135
0.149 0.814 0.559
0.737 0.971 0.209
0.649 0.186 0.941
0.019 0.483 0.126
0.479 0.305 0.027
0.528 0.117 0.230
0.972 0.117 0.730
0.166 0.657 0.186
0.660 0.043 0.551
0.958 0.436 0.314
0.042 0.564 0.686
0.021 0.305 0.527
0.790 0.603 0.136
0.945 0.683 0.974
0.742 0.405 0.486
0.279 0.310 0.692
0.472 0.883 0.770
0.290 0.397 0.364
0.726 0.980 0.871
0.721 0.690 0.308
0.542 0.436 0.814
0.065 0.055 0.407
0.555 0.683 0.474
0.274 0.020 0.129
0.348 0.766 0.316
0.160 0.957 0.949
0.979 0.695 0.473
0.242 0.595 0.014
0.935 0.945 0.593
0.435 0.055 0.907
0.334 0.657 0.686
0.779 0.690 0.808
0.652 0.234 0.684
0.226 0.020 0.629
0.840 0.043 0.051
0.848 0.234 0.184
0.834 0.343 0.814
0.774 0.980 0.371
0.152 0.766 0.816
0.666 0.343 0.314
0.221 0.310 0.192
0.028 0.883 0.270
0.758 0.405 0.986
0.055 0.317 0.026
0.210 0.397 0.864
0.710 0.603 0.636
0.445 0.317 0.526
0.565 0.945 0.093
0.258 0.595 0.514
0.521 0.695 0.973
0.458 0.564 0.186
0.340 0.957 0.449
0.286 0.474 0.233
0.880 0.244 0.059
0.049 0.099 0.619
0.951 0.901 0.381
0.620 0.244 0.559
0.380 0.756 0.441
0.786 0.526 0.267
0.714 0.526 0.767
0.120 0.756 0.941
0.549 0.901 0.881
0.451 0.099 0.119
0.214 0.474 0.733
```

Calculated values
Space group: No. 14
Formation energy, eV/atom: -1.72


Entry 3:
Here is an optimized crystal structure of K2MgS2O12 from the Materials Project. Energies are from PBE-GGA.

Geometry as POSCAR:
```
K2MgS2O12
1.0
-1.532 -7.546 0.855
2.744 -2.653 -6.741
9.106 -2.597 3.453
K O S Mg
4 24 4 2
direct
0.911 0.411 0.765
0.089 0.589 0.235
0.589 0.089 0.235
0.411 0.911 0.765
0.780 0.533 0.112
0.798 0.202 0.000
0.220 0.467 0.888
0.990 0.990 0.799
0.202 0.798 0.000
0.655 0.655 0.570
0.356 0.671 0.370
0.170 0.170 0.949
0.290 0.047 0.425
0.010 0.010 0.201
0.953 0.710 0.575
0.345 0.345 0.430
0.533 0.780 0.112
0.047 0.290 0.425
0.684 0.684 0.901
0.199 0.199 0.626
0.801 0.801 0.374
0.316 0.316 0.099
0.830 0.830 0.051
0.329 0.644 0.630
0.671 0.356 0.370
0.644 0.329 0.630
0.467 0.220 0.888
0.710 0.953 0.575
0.217 0.217 0.478
0.703 0.703 0.042
0.783 0.783 0.522
0.297 0.297 0.958
0.500 0.500 0.500
0.000 0.000 0.000
```

Calculated values
Space group: No. 12
Formation energy, eV/atom: -1.30


Entry 4:
Here is an optimized crystal structure of PrNi2P2 from the Materials Project. Energies are from PBE-GGA.

Geometry as POSCAR:
```
PrNi2P2
1.0
2.772 4.637 1.316
-1.962 3.311 4.014
1.079 -5.402 -0.762
P Ni Pr
2 2 1
direct
0.371 0.371 0.000
0.629 0.629 0.000
0.750 0.250 0.500
0.250 0.750 0.500
0.000 0.000 0.000
```

Calculated values
Space group: No. 139
Formation energy, eV/atom: -0.97


Entry 5:
Here is an optimized crystal structure of CuAgPO4 from the Materials Project. Energies are from PBE-GGA.

Geometry as POSCAR:
```
CuAgPO4
1.0
-0.679 5.545 -0.618
-7.618 -0.809 1.106
-0.099 0.865 7.870
O Cu P Ag
16 4 4 4
direct
0.516 0.817 0.733
0.984 0.317 0.733
0.053 0.348 0.307
0.692 0.486 0.426
0.251 0.490 0.898
0.553 0.152 0.693
0.192 0.014 0.574
0.308 0.514 0.574
0.808 0.986 0.426
0.016 0.683 0.267
0.447 0.848 0.307
0.751 0.010 0.102
0.249 0.990 0.898
0.749 0.510 0.102
0.484 0.183 0.267
0.947 0.652 0.693
0.378 0.353 0.410
0.622 0.647 0.590
0.878 0.147 0.590
0.122 0.853 0.410
0.880 0.508 0.273
0.380 0.992 0.727
0.120 0.492 0.727
0.620 0.008 0.273
0.614 0.307 0.930
0.386 0.693 0.070
0.886 0.807 0.930
0.114 0.193 0.070
```

Calculated values
Space group: No. 14
Formation energy, eV/atom: -1.69


Entry 6:
Here is an optimized crystal structure of Mg6Si5 from the Materials Project. Energies are from PBE-GGA.

Geometry as POSCAR:
```
Mg6Si5
1.0
-2.180 3.489 -1.847
-5.848 -2.544 2.361
1.941 6.760 11.959
Mg Si
12 10
direct
0.223 0.182 0.646
0.290 0.628 0.569
0.711 0.525 0.166
0.248 0.517 0.348
0.202 0.306 0.028
0.752 0.323 0.492
0.027 0.056 0.862
0.087 0.505 0.833
0.230 0.017 0.414
0.521 0.814 0.804
0.196 0.768 0.018
0.708 0.029 0.104
0.549 0.271 0.830
0.219 0.201 0.214
0.727 0.851 0.292
0.223 0.831 0.213
0.729 0.447 0.681
0.986 0.800 0.703
0.737 0.217 0.301
0.669 0.533 0.965
0.707 0.961 0.573
0.760 0.714 0.448
```

Calculated values
Space group: No. 1
ΔE to the lowest computed polymorph, eV/atom: 0.0818
Formation energy, eV/atom: 0.11


Entry 7:
Here is an optimized crystal structure of EuCuO2 from the Materials Project. Energies are from PBE-GGA.

Geometry as POSCAR:
```
EuCuO2
1.0
5.812 -1.854 0.000
5.812 1.854 0.000
5.220 0.000 3.156
Eu O Cu
1 2 1
direct
0.500 0.500 0.500
0.105 0.105 0.105
0.895 0.895 0.895
0.000 0.000 0.000
```

Calculated values
Space group: No. 166
Formation energy, eV/atom: -2.29


Entry 8:
Here is an optimized crystal structure of Cs2AlHgBr6 from the Materials Project. Energies are from PBE-GGA.

Geometry as POSCAR:
```
Cs2AlHgBr6
1.0
0.000 5.599 5.599
5.599 0.000 5.599
5.599 5.599 0.000
Br Al Hg Cs
6 1 1 2
direct
0.772 0.772 0.228
0.228 0.772 0.228
0.228 0.772 0.772
0.772 0.228 0.772
0.228 0.228 0.772
0.772 0.228 0.228
0.000 0.000 0.000
0.500 0.500 0.500
0.750 0.750 0.750
0.250 0.250 0.250
```

Calculated values
Space group: No. 225
Formation energy, eV/atom: -1.53


Entry 9:
Here is an optimized crystal structure of CrNiP from the Materials Project. Energies are from PBE-GGA.

Geometry as POSCAR:
```
CrNiP
1.0
2.891 -5.008 0.000
2.891 5.008 0.000
0.000 0.000 3.553
Cr P Ni
3 3 3
direct
0.000 0.408 0.500
0.592 0.592 0.500
0.408 0.000 0.500
0.667 0.333 0.000
0.000 0.000 0.500
0.333 0.667 0.000
0.000 0.744 0.000
0.256 0.256 0.000
0.744 0.000 0.000
```

Calculated values
Space group: No. 189
Formation energy, eV/atom: -0.49


Entry 10:
Here is an optimized crystal structure of Li6PS5I from the Materials Project. Energies are from PBE-GGA.

Geometry as POSCAR:
```
Li6PS5I
1.0
5.272 0.025 5.079
3.771 6.132 1.332
-0.992 3.614 6.289
S Li P I
5 6 1 1
direct
0.750 0.750 0.750
0.385 0.385 0.844
0.844 0.385 0.385
0.385 0.844 0.385
0.385 0.385 0.385
0.523 0.523 0.977
0.977 0.977 0.523
0.977 0.523 0.523
0.977 0.523 0.977
0.523 0.977 0.523
0.523 0.977 0.977
0.500 0.500 0.500
0.000 0.000 0.000
```

Calculated values
Piezoelectric modulus e_max, C/m²: 0.10
Space group: No. 216
ΔE to the lowest computed polymorph, eV/atom: 0.0168
Formation energy, eV/atom: -1.27


Entry 11:
Here is an optimized crystal structure of Te8MoW3 from the Materials Project. Energies are from PBE-GGA.

Geometry as POSCAR:
```
Te8MoW3
1.0
1.423 2.010 -2.563
-2.377 -2.512 -0.824
-29.683 26.638 4.414
Te W Mo
8 3 1
direct
0.333 0.667 0.612
0.333 0.667 0.237
0.333 0.667 0.703
0.667 0.333 0.139
0.333 0.667 0.327
0.667 0.333 0.424
0.667 0.333 0.049
0.667 0.333 0.515
0.667 0.333 0.658
0.333 0.667 0.470
0.333 0.667 0.094
0.667 0.333 0.282
```

Calculated values
Space group: No. 156
Formation energy, eV/atom: -0.13


Entry 12:
Here is an optimized crystal structure of BiSbO3 from the Materials Project. Energies are from PBE-GGA.

Geometry as POSCAR:
```
BiSbO3
1.0
5.050 -3.200 0.000
5.050 3.200 0.000
3.022 0.000 5.159
Sb O Bi
2 6 2
direct
0.352 0.352 0.352
0.648 0.648 0.648
0.490 0.977 0.769
0.023 0.231 0.510
0.977 0.769 0.490
0.231 0.510 0.023
0.769 0.490 0.977
0.510 0.023 0.231
0.133 0.133 0.133
0.867 0.867 0.867
```

Calculated values
Space group: No. 148
Formation energy, eV/atom: -1.62


Entry 13:
Here is an optimized crystal structure of Sr2Mg from the Materials Project. Energies are from PBE-GGA.

Geometry as POSCAR:
```
Sr2Mg
1.0
2.431 3.488 -0.177
-4.144 0.339 0.904
3.562 -1.624 16.946
Mg Sr
2 4
direct
0.667 0.333 0.750
0.333 0.667 0.250
0.333 0.667 0.900
0.667 0.333 0.400
0.667 0.333 0.100
0.333 0.667 0.600
```

Calculated values
Space group: No. 194
Formation energy, eV/atom: 0.09


Entry 14:
Here is an optimized crystal structure of YTaO4 from the Materials Project. Energies are from PBE-GGA.

Geometry as POSCAR:
```
YTaO4
1.0
-5.943 -2.350 1.565
1.245 0.304 -6.453
-0.780 -4.553 -2.206
O Y Ta
8 2 2
direct
0.223 0.287 0.207
0.869 0.449 0.339
0.131 0.551 0.661
0.713 0.777 0.293
0.777 0.713 0.793
0.449 0.869 0.839
0.287 0.223 0.707
0.551 0.131 0.161
0.130 0.870 0.250
0.870 0.130 0.750
0.604 0.396 0.250
0.396 0.604 0.750
```

Calculated values
Space group: No. 15
Formation energy, eV/atom: -3.71


Entry 15:
Here is an optimized crystal structure of LiYSiO4 from the Materials Project. Energies are from PBE-GGA.

Geometry as POSCAR:
```
LiYSiO4
1.0
6.251 0.000 0.000
0.000 5.452 0.000
0.000 4.384 10.023
O Li Si Y
16 4 4 4
direct
0.641 0.230 0.276
0.071 0.774 0.945
0.337 0.185 0.024
0.571 0.226 0.555
0.337 0.242 0.747
0.663 0.815 0.976
0.429 0.774 0.445
0.837 0.815 0.476
0.359 0.770 0.724
0.837 0.758 0.753
0.163 0.185 0.524
0.929 0.226 0.055
0.141 0.770 0.224
0.859 0.230 0.776
0.163 0.242 0.247
0.663 0.758 0.253
0.134 0.918 0.430
0.366 0.918 0.930
0.634 0.082 0.070
0.866 0.082 0.570
0.652 0.904 0.359
0.848 0.904 0.859
0.152 0.096 0.141
0.348 0.096 0.641
0.884 0.554 0.153
0.384 0.446 0.347
0.116 0.446 0.847
0.616 0.554 0.653
```

Calculated values
Space group: No. 14
Formation energy, eV/atom: -3.41